1.
# PBE-GGA Ba2YF7, optimized geometry
# Calculated total energy   -6.335 eV/atom
# Mass density   4.71 g/cm³
# E above lowest polymorph   0 meV/atom
data_Ba2YF7
_chemical_formula_sum 'Ba8 Y4 F28'
_space_group_name_H-M_alt 'P 1 21/c 1'
_space_group_IT_number 14
_cell_length_a 5.9318
_cell_length_b 13.2285
_cell_length_c 8.9242
_cell_angle_alpha 90.00
_cell_angle_beta 90.66
_cell_angle_gamma 90.00
loop_
_space_group_symop_operation_xyz
'x,y,z'
'-x,-y,-z'
'-x,y+1/2,-z+1/2'
'x,-y+1/2,z+1/2'
loop_
_atom_site_label
_atom_site_type_symbol
_atom_site_fract_x
_atom_site_fract_y
_atom_site_fract_z
Ba1 Ba 0.2345 0.2203 0.4474
Ba2 Ba 0.2378 0.5625 0.3234
Y1 Y 0.2790 0.6256 0.7842
F1 F 0.0198 0.7466 0.3034
F2 F 0.0213 0.6048 0.5921
F3 F 0.2002 0.0385 0.2882
F4 F 0.2059 0.6399 0.0273
F5 F 0.3812 0.0753 0.6310
F6 F 0.4914 0.7317 0.2952
F7 F 0.4916 0.6056 0.5762

---

2.
# PBE-GGA Ba2YF7, optimized geometry
# Calculated total energy   -6.288 eV/atom
# Mass density   5.23 g/cm³
# Magnetization   0.0 μB/f.u.
# E above lowest polymorph   46 meV/atom
data_Ba2YF7
_chemical_formula_sum 'Ba8 Y4 F28'
_space_group_name_H-M_alt 'C 1 2/c 1'
_space_group_IT_number 15
_cell_length_a 13.8236
_cell_length_b 6.8044
_cell_length_c 8.2323
_cell_angle_alpha 90.00
_cell_angle_beta 125.41
_cell_angle_gamma 90.00
loop_
_space_group_symop_operation_xyz
'x,y,z'
'-x,-y,-z'
'-x,y,-z+1/2'
'x,-y,z+1/2'
'x+1/2,y+1/2,z'
'-x+1/2,-y+1/2,-z'
'-x+1/2,y+1/2,-z+1/2'
'x+1/2,-y+1/2,z+1/2'
loop_
_atom_site_label
_atom_site_type_symbol
_atom_site_fract_x
_atom_site_fract_y
_atom_site_fract_z
Ba1 Ba 0.1795 0.0062 0.2609
Y1 Y 0.0000 0.4852 0.7500
F1 F 0.0000 0.1347 0.7500
F2 F 0.0820 0.3606 0.0728
F3 F 0.1261 0.2597 0.4539
F4 F 0.1862 0.3835 0.8605

---

3.
# PBE-GGA Ba4Y3F17, optimized geometry
# Calculated total energy   -6.479 eV/atom
# Mass density   5.04 g/cm³
data_Ba4Y3F17
_chemical_formula_sum 'Ba8 Y6 F34'
_space_group_name_H-M_alt 'P 1'
_space_group_IT_number 1
_cell_length_a 9.4253
_cell_length_b 9.4285
_cell_length_c 9.4803
_cell_angle_alpha 72.80
_cell_angle_beta 72.99
_cell_angle_gamma 73.00
loop_
_space_group_symop_operation_xyz
'x,y,z'
loop_
_atom_site_label
_atom_site_type_symbol
_atom_site_fract_x
_atom_site_fract_y
_atom_site_fract_z
Ba1 Ba 0.0000 0.0000 0.0000
Ba2 Ba 0.0452 0.7910 0.6170
Ba3 Ba 0.2018 0.3673 0.9383
Ba4 Ba 0.2566 0.1698 0.5691
Ba5 Ba 0.3640 0.9415 0.1981
Ba6 Ba 0.4226 0.7436 0.8368
Ba7 Ba 0.5766 0.3242 0.1516
Ba8 Ba 0.6271 0.1073 0.7724
Y1 Y 0.1276 0.5820 0.2762
Y2 Y 0.4743 0.5244 0.4927
Y3 Y 0.7050 0.8946 0.4157
Y4 Y 0.7872 0.6601 0.0582
Y5 Y 0.8458 0.4464 0.7212
Y6 Y 0.9232 0.2383 0.3485
F1 F 0.0288 0.6513 0.0621
F2 F 0.0496 0.2726 0.7998
F3 F 0.0544 0.5068 0.5388
F4 F 0.0927 0.1412 0.1503
F5 F 0.1262 0.0436 0.4319
F6 F 0.1376 0.3351 0.2872
F7 F 0.1745 0.9186 0.7459
F8 F 0.2234 0.7865 0.1103
F9 F 0.2710 0.6947 0.3985
F10 F 0.3022 0.6025 0.7008
F11 F 0.3155 0.0500 0.8883
F12 F 0.3255 0.5087 0.0675
F13 F 0.3521 0.4198 0.3747
F14 F 0.3993 0.3189 0.6656
F15 F 0.4538 0.1918 0.0214
F16 F 0.4961 0.0676 0.3380
F17 F 0.5282 0.7510 0.4679
F18 F 0.5319 0.9684 0.6199
F19 F 0.5782 0.5984 0.2351
F20 F 0.5810 0.8316 0.9760
F21 F 0.6198 0.4661 0.6698
F22 F 0.6626 0.3212 0.4272
F23 F 0.6740 0.5454 0.9239
F24 F 0.7310 0.8490 0.1854
F25 F 0.7658 0.2396 0.8967
F26 F 0.7710 0.7055 0.6176
F27 F 0.8004 0.1001 0.2467
F28 F 0.8223 0.0198 0.5211
F29 F 0.8584 0.8725 0.8717
F30 F 0.8625 0.3970 0.1285
F31 F 0.8809 0.5305 0.3295
F32 F 0.9070 0.2632 0.5835
F33 F 0.9507 0.5664 0.8411
F34 F 0.9630 0.7983 0.3383

---

4.
# PBE-GGA Ba2YF7, optimized geometry
# Calculated total energy   -6.269 eV/atom
# Mass density   4.52 g/cm³
# Magnetization   0.0 μB/f.u.
# E above lowest polymorph   65 meV/atom
data_Ba2YF7
_chemical_formula_sum 'Ba8 Y4 F28'
_space_group_name_H-M_alt 'P 1 21 1'
_space_group_IT_number 4
_cell_length_a 5.9780
_cell_length_b 12.1566
_cell_length_c 10.0458
_cell_angle_alpha 90.00
_cell_angle_beta 90.34
_cell_angle_gamma 90.00
loop_
_space_group_symop_operation_xyz
'x,y,z'
'-x,y+1/2,-z'
loop_
_atom_site_label
_atom_site_type_symbol
_atom_site_fract_x
_atom_site_fract_y
_atom_site_fract_z
Ba1 Ba 0.2231 0.0000 0.1066
Ba2 Ba 0.2349 0.7610 0.7034
Ba3 Ba 0.2400 0.6216 0.2165
Ba4 Ba 0.2416 0.3756 0.6122
Y1 Y 0.2700 0.0771 0.5239
Y2 Y 0.2900 0.2986 0.0334
F1 F 0.0017 0.1863 0.0251
F2 F 0.0154 0.2060 0.5093
F3 F 0.0378 0.9475 0.5874
F4 F 0.0751 0.5590 0.7044
F5 F 0.0794 0.8192 0.2144
F6 F 0.0796 0.4404 0.0886
F7 F 0.2711 0.1409 0.7305
F8 F 0.3128 0.2306 0.2376
F9 F 0.4023 0.0023 0.3448
F10 F 0.4103 0.3724 0.8519
F11 F 0.4170 0.8918 0.8924
F12 F 0.4642 0.4687 0.3917
F13 F 0.4705 0.7096 0.4833
F14 F 0.4938 0.6537 0.0036

---

5.
# PBE-GGA Ba2Y5F19, optimized geometry
# Calculated total energy   -6.743 eV/atom
# Mass density   2.76 g/cm³
# Magnetization   0.0 μB/f.u.
data_Ba2Y5F19
_chemical_formula_sum 'Ba4 Y10 F38'
_space_group_name_H-M_alt 'P 1 21 1'
_space_group_IT_number 4
_cell_length_a 7.8892
_cell_length_b 6.3177
_cell_length_c 26.2211
_cell_angle_alpha 90.00
_cell_angle_beta 95.84
_cell_angle_gamma 90.00
loop_
_space_group_symop_operation_xyz
'x,y,z'
'-x,y+1/2,-z'
loop_
_atom_site_label
_atom_site_type_symbol
_atom_site_fract_x
_atom_site_fract_y
_atom_site_fract_z
Ba1 Ba 0.2339 0.0000 0.1707
Ba2 Ba 0.2363 0.9681 0.7381
Y1 Y 0.1386 0.9738 0.3325
Y2 Y 0.1589 0.4915 0.9696
Y3 Y 0.1703 0.4787 0.5357
Y4 Y 0.4420 0.9967 0.9005
Y5 Y 0.4692 0.4790 0.4033
F1 F 0.0049 0.7351 0.5006
F2 F 0.0096 0.2108 0.7032
F3 F 0.0114 0.7578 0.9979
F4 F 0.0132 0.4913 0.8951
F5 F 0.0331 0.4860 0.6049
F6 F 0.0408 0.6656 0.7186
F7 F 0.2516 0.0043 0.8338
F8 F 0.2827 0.2439 0.3685
F9 F 0.2907 0.9683 0.2671
F10 F 0.2916 0.2132 0.9430
F11 F 0.3061 0.7465 0.3756
F12 F 0.3224 0.4765 0.4702
F13 F 0.3240 0.7220 0.9351
F14 F 0.3398 0.2196 0.5670
F15 F 0.3467 0.4843 0.0374
F16 F 0.3504 0.7242 0.5691
F17 F 0.4058 0.3106 0.1497
F18 F 0.4335 0.7689 0.1308
F19 F 0.4348 0.9825 0.6712

---

6.
# PBE-GGA BaZnF4, optimized geometry
# Calculated total energy   -4.890 eV/atom
# Mass density   4.89 g/cm³
# Piezoelectric modulus e_max   1.52 C/m²
data_BaZnF4
_chemical_formula_sum 'Ba4 Zn4 F16'
_space_group_name_H-M_alt 'C m c 21'
_space_group_IT_number 36
_cell_length_a 4.2533
_cell_length_b 14.9081
_cell_length_c 5.9703
_cell_angle_alpha 90.00
_cell_angle_beta 90.00
_cell_angle_gamma 90.00
loop_
_space_group_symop_operation_xyz
'x,y,z'
'-x,-y,z+1/2'
'-x,y,z'
'x,-y,z+1/2'
'x+1/2,y+1/2,z'
'-x+1/2,-y+1/2,z+1/2'
'-x+1/2,y+1/2,z'
'x+1/2,-y+1/2,z+1/2'
loop_
_atom_site_label
_atom_site_type_symbol
_atom_site_fract_x
_atom_site_fract_y
_atom_site_fract_z
Ba1 Ba 0.0000 0.1494 0.0000
Zn1 Zn 0.0000 0.4143 0.9569
F1 F 0.0000 0.0775 0.4372
F2 F 0.0000 0.3016 0.7615
F3 F 0.0000 0.3351 0.2289
F4 F 0.0000 0.4689 0.6241

---

7.
# PBE-GGA BaZnF4, optimized geometry
# Calculated total energy   -4.869 eV/atom
# Mass density   5.04 g/cm³
# Magnetization   0.0 μB/f.u.
data_BaZnF4
_chemical_formula_sum 'Ba4 Zn4 F16'
_space_group_name_H-M_alt 'P 1 c 1'
_space_group_IT_number 7
_cell_length_a 4.2104
_cell_length_b 5.9924
_cell_length_c 15.1578
_cell_angle_alpha 90.00
_cell_angle_beta 106.02
_cell_angle_gamma 90.00
loop_
_space_group_symop_operation_xyz
'x,y,z'
'x,-y,z+1/2'
loop_
_atom_site_label
_atom_site_type_symbol
_atom_site_fract_x
_atom_site_fract_y
_atom_site_fract_z
Ba1 Ba 0.0000 0.1140 0.0000
Ba2 Ba 0.7613 0.3668 0.2551
Zn1 Zn 0.2821 0.1291 0.7753
Zn2 Zn 0.4828 0.3831 0.4811
F1 F 0.1899 0.1220 0.1856
F2 F 0.2073 0.3999 0.6999
F3 F 0.3804 0.1371 0.3717
F4 F 0.3874 0.3583 0.8860
F5 F 0.5577 0.1175 0.5592
F6 F 0.5729 0.3618 0.0696
F7 F 0.8022 0.1218 0.7962
F8 F 0.9612 0.3777 0.4589

---

8.
# PBE-GGA Ba2Zn7F18, optimized geometry
# Calculated total energy   -4.396 eV/atom
# Mass density   4.93 g/cm³
data_Ba2Zn7F18
_chemical_formula_sum 'Ba2 Zn7 F18'
_space_group_name_H-M_alt 'P -1'
_space_group_IT_number 2
_cell_length_a 7.1624
_cell_length_b 7.4427
_cell_length_c 7.6377
_cell_angle_alpha 94.29
_cell_angle_beta 92.89
_cell_angle_gamma 116.34
loop_
_space_group_symop_operation_xyz
'x,y,z'
'-x,-y,-z'
loop_
_atom_site_label
_atom_site_type_symbol
_atom_site_fract_x
_atom_site_fract_y
_atom_site_fract_z
Ba1 Ba 0.1840 0.3113 0.3678
Zn1 Zn 0.1090 0.7320 0.1234
Zn2 Zn 0.3089 0.1293 0.8210
Zn3 Zn 0.3206 0.6189 0.8068
Zn4 Zn 0.5000 0.0000 0.5000
F1 F 0.0010 0.0714 0.8149
F2 F 0.0207 0.4397 0.6771
F3 F 0.1791 0.4872 0.0263
F4 F 0.2019 0.8236 0.8788
F5 F 0.2178 0.9905 0.5575
F6 F 0.3901 0.2285 0.0748
F7 F 0.3978 0.3950 0.7141
F8 F 0.4069 0.8721 0.2385
F9 F 0.4207 0.7180 0.5719

---

9.
# PBE-GGA BaZrF6, optimized geometry
# Calculated total energy   -6.526 eV/atom
# Mass density   4.51 g/cm³
data_BaZrF6
_chemical_formula_sum 'Ba4 Zr4 F24'
_space_group_name_H-M_alt 'C m m e'
_space_group_IT_number 67
_space_group_name_Hall '-C 2a 2'
_cell_length_a 7.7824
_cell_length_b 11.5372
_cell_length_c 5.6135
_cell_angle_alpha 90.00
_cell_angle_beta 90.00
_cell_angle_gamma 90.00
loop_
_atom_site_label
_atom_site_type_symbol
_atom_site_fract_x
_atom_site_fract_y
_atom_site_fract_z
Ba1 Ba 0.0000 0.2500 0.0556
Zr1 Zr 0.2500 0.0000 0.5000
F1 F 0.0000 0.0701 0.3501
F2 F 0.1934 0.1253 0.7505

---

10.
# PBE-GGA BaZr2F10, optimized geometry
# Calculated total energy   -6.673 eV/atom
# Mass density   4.01 g/cm³
data_BaZr2F10
_chemical_formula_sum 'Ba4 Zr8 F40'
_space_group_name_H-M_alt 'C 1 2/c 1'
_space_group_IT_number 15
_cell_length_a 6.2237
_cell_length_b 15.8923
_cell_length_c 8.9170
_cell_angle_alpha 90.00
_cell_angle_beta 106.63
_cell_angle_gamma 90.00
loop_
_space_group_symop_operation_xyz
'x,y,z'
'-x,-y,-z'
'-x,y,-z+1/2'
'x,-y,z+1/2'
'x+1/2,y+1/2,z'
'-x+1/2,-y+1/2,-z'
'-x+1/2,y+1/2,-z+1/2'
'x+1/2,-y+1/2,z+1/2'
loop_
_atom_site_label
_atom_site_type_symbol
_atom_site_fract_x
_atom_site_fract_y
_atom_site_fract_z
Ba1 Ba 0.0000 0.0697 0.2500
Zr1 Zr 0.1870 0.3452 0.0965
F1 F 0.0000 0.1966 0.7500
F2 F 0.0000 0.3007 0.2500
F3 F 0.1079 0.3633 0.5642
F4 F 0.1550 0.2079 0.0739
F5 F 0.1826 0.0572 0.9983
F6 F 0.2321 0.4362 0.2592

---

11.
# PBE-GGA Ba2ZrF8, optimized geometry
# Calculated total energy   -6.343 eV/atom
# Mass density   4.99 g/cm³
data_Ba2ZrF8
_chemical_formula_sum 'Ba8 Zr4 F32'
_space_group_name_H-M_alt 'P n m a'
_space_group_IT_number 62
_cell_length_a 10.0026
_cell_length_b 5.7221
_cell_length_c 12.0404
_cell_angle_alpha 90.00
_cell_angle_beta 90.00
_cell_angle_gamma 90.00
loop_
_space_group_symop_operation_xyz
'x,y,z'
'-x,-y,-z'
'-x+1/2,-y,z+1/2'
'x+1/2,y,-z+1/2'
'x+1/2,-y+1/2,-z+1/2'
'-x+1/2,y+1/2,z+1/2'
'-x,y+1/2,-z'
'x,-y+1/2,z'
loop_
_atom_site_label
_atom_site_type_symbol
_atom_site_fract_x
_atom_site_fract_y
_atom_site_fract_z
Ba1 Ba 0.0476 0.2500 0.1598
Ba2 Ba 0.1377 0.2500 0.5596
Zr1 Zr 0.2413 0.7500 0.3597
F1 F 0.0947 0.0129 0.3619
F2 F 0.1414 0.7500 0.1926
F3 F 0.1436 0.7500 0.5241
F4 F 0.1462 0.0175 0.9654
F5 F 0.1543 0.0143 0.7566

---

Number 1: E_form -4.2874 eV per atom. Number 2: E_form -4.2411 eV per atom. Number 3: E_form -4.3222 eV per atom. Number 4: E_form -4.2220 eV per atom. Number 5: E_form -4.2898 eV per atom. Number 6: E_form -3.3917 eV per atom. Number 7: E_form -3.3706 eV per atom. Number 8: E_form -2.9593 eV per atom. Number 9: E_form -4.1282 eV per atom. Number 10: E_form -4.0929 eV per atom. Number 11: E_form -4.1606 eV per atom.